# 1
A plane-wave DFT calculation with PBE was carried out for a geometry-optimized NaLa2Al2PS5O24 structure.

Summary:
Total energy after the MP2020 corrections, eV for the cell shown: -756.642
Space-group type: P1, No. 1

POSCAR file:
```
NaLa2Al2PS5O24
1.0
8.734 0.017 -0.015
-4.352 7.600 0.009
-0.037 0.006 23.767
La O S Na Al P
6 72 15 3 6 3
direct
0.340 0.674 0.800
0.000 0.009 0.165
0.001 0.988 0.842
0.675 0.334 0.199
0.340 0.672 0.017
0.657 0.337 0.977
0.747 0.794 0.215
0.301 0.463 0.472
0.506 0.637 0.564
0.340 0.485 0.094
0.929 0.738 0.785
0.814 0.069 0.786
0.503 0.123 0.627
0.446 0.311 0.139
0.830 0.289 0.529
0.995 0.826 0.086
0.176 0.009 0.916
0.853 0.328 0.271
0.304 0.859 0.859
0.552 0.876 0.732
0.043 0.251 0.211
0.539 0.836 0.472
0.174 0.168 0.086
0.484 0.295 0.718
0.023 0.817 0.411
0.186 0.484 0.283
0.816 0.795 0.591
0.203 0.021 0.591
0.128 0.491 0.564
0.617 0.496 0.626
0.106 0.448 0.965
0.441 0.323 0.037
0.186 0.208 0.410
0.503 0.149 0.903
0.138 0.452 0.862
0.164 0.701 0.472
0.673 0.513 0.902
0.302 0.821 0.283
0.365 0.871 0.564
0.993 0.169 0.315
0.322 0.450 0.732
0.636 0.132 0.432
0.522 0.708 0.283
0.831 0.005 0.084
0.881 0.558 0.034
0.823 0.815 0.315
0.181 0.171 0.686
0.514 0.861 0.093
0.991 0.820 0.685
0.337 0.889 0.967
0.142 0.654 0.092
0.693 0.138 0.137
0.855 0.345 0.903
0.544 0.682 0.860
0.496 0.874 0.373
0.009 0.182 0.915
0.810 0.516 0.716
0.385 0.505 0.374
0.257 0.189 0.786
0.708 0.191 0.718
0.979 0.182 0.591
0.125 0.622 0.373
0.868 0.503 0.433
0.458 0.169 0.529
0.201 0.949 0.215
0.176 0.997 0.316
0.459 0.138 0.271
0.876 0.379 0.626
0.667 0.534 0.271
0.126 0.672 0.731
0.794 0.974 0.410
0.501 0.365 0.434
0.676 0.121 0.034
0.823 0.839 0.916
0.710 0.541 0.529
0.863 0.553 0.137
0.549 0.646 0.968
0.831 0.011 0.686
0.967 0.688 0.729
0.955 0.335 0.578
0.028 0.358 0.911
0.663 0.620 0.578
0.676 0.030 0.087
0.972 0.647 0.087
0.309 0.278 0.730
0.284 0.976 0.272
0.340 0.383 0.422
0.351 0.325 0.089
0.380 0.044 0.578
0.726 0.035 0.730
0.690 0.713 0.271
0.618 0.953 0.422
0.046 0.664 0.422
0.000 0.988 0.996
0.677 0.332 0.346
0.656 0.331 0.831
0.665 0.332 0.668
0.665 0.334 0.488
0.002 0.002 0.640
0.336 0.667 0.515
0.328 0.660 0.328
0.995 0.004 0.358
0.645 0.670 0.911
0.331 0.974 0.911
0.021 0.310 0.271
```

=====

# 2
A plane-wave DFT calculation with PBE was carried out for a geometry-optimized Th7Pt3 structure.

Summary:
VASP energy, eV for the cell shown: -154.990
Space-group type: P6_3mc, No. 186

POSCAR file:
```
Th7Pt3
1.0
5.306 8.526 -0.847
-6.132 -1.357 7.881
4.853 -2.691 3.313
Th Pt
14 6
direct
0.333 0.667 0.082
0.743 0.872 0.246
0.128 0.872 0.246
0.872 0.128 0.746
0.912 0.456 0.031
0.456 0.912 0.531
0.667 0.333 0.582
0.872 0.743 0.746
0.456 0.544 0.531
0.128 0.257 0.246
0.257 0.128 0.746
0.544 0.456 0.031
0.088 0.544 0.531
0.544 0.088 0.031
0.812 0.188 0.311
0.377 0.188 0.311
0.812 0.623 0.311
0.188 0.812 0.811
0.623 0.812 0.811
0.188 0.377 0.811
```

=====

# 3
A plane-wave DFT calculation with PBE was carried out for a geometry-optimized CeB5BrO11 structure.

Summary:
Total energy after the MP2020 corrections, eV for the cell shown: -552.162
Space-group type: P2_1/c, No. 14

POSCAR file:
```
CeB5BrO11
1.0
-0.127 -7.878 12.594
6.215 1.779 1.176
2.589 10.375 6.516
O B Br Ce
44 20 4 4
direct
0.801 0.446 0.618
0.179 0.717 0.552
0.601 0.937 0.346
0.321 0.717 0.052
0.925 0.672 0.485
0.447 0.888 0.864
0.425 0.328 0.015
0.053 0.888 0.364
0.782 0.684 0.397
0.575 0.672 0.985
0.089 0.275 0.235
0.911 0.725 0.765
0.075 0.328 0.515
0.699 0.446 0.118
0.399 0.063 0.654
0.426 0.902 0.124
0.282 0.316 0.103
0.262 0.422 0.250
0.197 0.119 0.485
0.303 0.119 0.985
0.553 0.112 0.136
0.697 0.881 0.015
0.762 0.578 0.250
0.718 0.684 0.897
0.225 0.822 0.705
0.775 0.178 0.295
0.275 0.822 0.205
0.926 0.098 0.376
0.738 0.578 0.750
0.574 0.098 0.876
0.199 0.554 0.382
0.238 0.422 0.750
0.679 0.283 0.948
0.074 0.902 0.624
0.821 0.283 0.448
0.218 0.316 0.603
0.411 0.275 0.735
0.899 0.937 0.846
0.101 0.063 0.154
0.947 0.112 0.636
0.803 0.881 0.515
0.589 0.725 0.265
0.725 0.178 0.795
0.301 0.554 0.882
0.334 0.893 0.093
0.209 0.492 0.629
0.534 0.886 0.910
0.791 0.508 0.371
0.666 0.107 0.907
0.291 0.492 0.129
0.246 0.594 0.281
0.830 0.671 0.507
0.670 0.671 0.007
0.166 0.893 0.593
0.966 0.886 0.410
0.709 0.508 0.871
0.466 0.114 0.090
0.034 0.114 0.590
0.834 0.107 0.407
0.330 0.329 0.993
0.746 0.406 0.219
0.254 0.594 0.781
0.754 0.406 0.719
0.170 0.329 0.493
0.885 0.104 0.069
0.385 0.896 0.431
0.115 0.896 0.931
0.615 0.104 0.569
0.193 0.008 0.315
0.693 0.992 0.185
0.307 0.008 0.815
0.807 0.992 0.685
```

=====

# 4
A plane-wave DFT calculation with PBE was carried out for a geometry-optimized Ce3Ni2Ge7 structure.

Summary:
VASP energy, eV for the cell shown: -69.699
Space-group type: Cmmm, No. 65

POSCAR file:
```
Ce3Ni2Ge7
1.0
2.131 -12.640 0.000
2.131 12.640 0.000
0.000 0.000 4.283
Ni Ge Ce
2 7 3
direct
0.129 0.871 0.000
0.871 0.129 0.000
0.088 0.912 0.500
0.412 0.588 0.000
0.222 0.778 0.000
0.588 0.412 0.000
0.500 0.500 0.500
0.778 0.222 0.000
0.912 0.088 0.500
0.315 0.685 0.500
0.685 0.315 0.500
0.000 0.000 0.000
```

=====

# 5
A plane-wave DFT calculation with PBE was carried out for a geometry-optimized Na3Ga2P3O12 structure.

Summary:
Total energy after the MP2020 corrections, eV for the cell shown: -547.523
E above lowest polymorph, meV per atom: 0.0

POSCAR file:
```
Na3Ga2P3O12
1.0
12.580 0.000 -8.441
0.000 8.755 0.000
-0.153 0.000 8.754
Na Ga O P
12 8 48 12
direct
0.747 0.728 0.498
0.811 0.936 0.218
0.502 0.889 0.249
0.247 0.228 0.498
0.502 0.111 0.749
0.747 0.272 0.998
0.311 0.436 0.218
0.811 0.064 0.718
0.247 0.772 0.998
0.311 0.564 0.718
0.002 0.389 0.249
0.002 0.611 0.749
0.603 0.742 0.055
0.898 0.749 0.942
0.603 0.258 0.555
0.898 0.251 0.442
0.398 0.249 0.942
0.103 0.758 0.555
0.398 0.751 0.442
0.103 0.242 0.055
0.420 0.352 0.756
0.928 0.949 0.068
0.859 0.359 0.586
0.457 0.168 0.437
0.068 0.056 0.921
0.080 0.848 0.740
0.545 0.833 0.566
0.648 0.863 0.921
0.957 0.668 0.437
0.156 0.571 0.740
0.656 0.929 0.240
0.568 0.556 0.921
0.258 0.818 0.739
0.045 0.667 0.066
0.656 0.071 0.740
0.428 0.551 0.568
0.580 0.652 0.240
0.457 0.832 0.937
0.746 0.825 0.757
0.758 0.682 0.239
0.148 0.637 0.421
0.746 0.175 0.257
0.246 0.325 0.757
0.568 0.444 0.421
0.258 0.182 0.239
0.246 0.675 0.257
0.928 0.051 0.568
0.068 0.944 0.421
0.045 0.333 0.566
0.156 0.429 0.240
0.957 0.332 0.937
0.428 0.449 0.068
0.350 0.072 0.761
0.080 0.152 0.240
0.758 0.318 0.739
0.920 0.148 0.256
0.648 0.137 0.421
0.859 0.641 0.086
0.359 0.859 0.586
0.580 0.348 0.740
0.545 0.167 0.066
0.420 0.648 0.256
0.148 0.363 0.921
0.350 0.928 0.261
0.850 0.428 0.261
0.920 0.852 0.756
0.850 0.572 0.761
0.359 0.141 0.086
0.355 0.896 0.755
0.855 0.396 0.755
0.501 0.544 0.247
0.648 0.107 0.245
0.355 0.104 0.255
0.148 0.607 0.245
0.148 0.393 0.745
0.001 0.044 0.247
0.001 0.956 0.747
0.501 0.456 0.747
0.648 0.893 0.745
0.855 0.604 0.255
```

=====

# 6
A plane-wave DFT calculation with PBE was carried out for a geometry-optimized Al2O3 structure.

Summary:
Total energy after the MP2020 corrections, eV for the cell shown: -760.719
Space-group type: P1, No. 1

POSCAR file:
```
Al2O3
1.0
-7.284 7.214 0.485
-6.659 -6.059 -6.054
-3.935 -4.793 8.008
O Al
60 40
direct
0.798 0.144 0.675
0.027 0.170 0.298
0.197 0.135 0.825
0.290 0.203 0.066
0.113 0.794 0.559
0.165 0.373 0.908
0.030 0.247 0.069
0.756 0.571 0.305
0.422 0.292 0.862
0.579 0.112 0.476
0.293 0.810 0.386
0.205 0.025 0.478
0.606 0.096 0.820
0.546 0.181 0.131
0.773 0.093 0.265
0.992 0.629 0.405
0.371 0.396 0.493
0.172 0.728 0.214
0.648 0.911 0.060
0.100 0.704 0.859
0.404 0.556 0.303
0.238 0.932 0.728
0.032 0.559 0.688
0.920 0.714 0.122
0.350 0.694 0.650
0.115 0.913 0.003
0.662 0.913 0.651
0.376 0.150 0.644
0.314 0.227 0.330
0.453 0.787 0.144
0.042 0.129 0.607
0.992 0.514 0.954
0.254 0.415 0.146
0.944 0.086 0.859
0.482 0.002 0.269
0.765 0.693 0.580
0.804 0.354 0.509
0.894 0.993 0.500
0.833 0.658 0.836
0.396 0.998 0.952
0.555 0.312 0.344
0.527 0.750 0.857
0.525 0.713 0.454
0.914 0.861 0.732
0.320 0.543 0.895
0.000 0.919 0.296
0.728 0.427 0.779
0.504 0.516 0.705
0.239 0.013 0.214
0.953 0.327 0.772
0.576 0.280 0.648
0.995 0.456 0.215
0.762 0.332 0.214
0.691 0.858 0.358
0.069 0.357 0.521
0.610 0.498 0.481
0.422 0.930 0.531
0.777 0.225 0.005
0.225 0.586 0.473
0.556 0.422 0.998
0.284 0.837 0.592
0.430 0.635 0.794
0.345 0.704 0.251
0.779 0.145 0.861
0.956 0.683 0.963
0.081 0.411 0.083
0.351 0.396 0.310
0.604 0.150 0.303
0.410 0.562 0.509
0.334 0.974 0.374
0.027 0.737 0.698
0.186 0.185 0.212
0.944 0.281 0.601
0.216 0.090 0.645
0.403 0.086 0.116
0.079 0.512 0.515
0.637 0.092 0.641
0.513 0.853 0.978
0.760 0.778 0.720
0.684 0.644 0.440
0.704 0.410 0.355
0.329 0.366 0.987
0.552 0.397 0.824
0.059 0.226 0.885
0.152 0.539 0.846
0.137 0.722 0.401
0.677 0.406 0.613
0.648 0.305 0.081
0.041 0.053 0.430
0.923 0.022 0.683
0.114 0.884 0.170
0.885 0.214 0.180
0.458 0.253 0.513
0.585 0.875 0.214
0.888 0.487 0.805
0.433 0.142 0.816
0.218 0.977 0.892
0.573 0.857 0.514
0.835 0.951 0.345
0.920 0.594 0.248
```

=====

# 7
A plane-wave DFT calculation with PBE was carried out for a geometry-optimized U2Sb4Pd structure.

Summary:
VASP energy, eV for the cell shown: -46.865
Space-group type: P-4m2, No. 115

POSCAR file:
```
U2Sb4Pd
1.0
-0.546 -4.261 -0.804
4.276 -0.664 0.615
-1.532 -1.508 9.026
Sb Pd U
4 1 2
direct
0.500 0.500 0.500
0.000 0.500 0.834
0.000 0.000 0.500
0.500 0.000 0.166
0.500 0.500 0.000
0.500 0.000 0.763
0.000 0.500 0.237
```